Ba4Ga2FeS6F4 | the Materials Project database | PBE+U | optimized geometry; magnetization = 0.00 μB per cell; calculated formation energy = -2.29 eV/atom; total energy after the MP2020 corrections = -5.503 eV per atom
1.0
-0.689 -5.729 -2.249
4.808 -4.860 10.907
-17.558 -0.790 7.388
Ba Ga Fe S F
16 8 4 24 16
Direct
0.266 0.751 0.079
0.234 0.251 0.421
0.734 0.249 0.579
0.766 0.749 0.921
0.734 0.249 0.921
0.766 0.749 0.579
0.266 0.751 0.421
0.234 0.251 0.079
0.757 0.998 0.079
0.743 0.498 0.421
0.243 0.002 0.579
0.257 0.502 0.921
0.243 0.002 0.921
0.257 0.502 0.579
0.757 0.998 0.421
0.743 0.498 0.079
0.642 0.796 0.250
0.858 0.296 0.250
0.358 0.204 0.750
0.142 0.704 0.750
0.139 0.951 0.250
0.361 0.451 0.250
0.861 0.049 0.750
0.639 0.549 0.750
0.498 0.124 0.250
0.002 0.624 0.250
0.502 0.876 0.750
0.998 0.376 0.750
0.273 0.022 0.349
0.227 0.522 0.151
0.727 0.978 0.849
0.773 0.478 0.651
0.727 0.978 0.651
0.773 0.478 0.849
0.273 0.022 0.151
0.227 0.522 0.349
0.777 0.726 0.151
0.723 0.226 0.349
0.223 0.274 0.651
0.277 0.774 0.849
0.223 0.274 0.849
0.277 0.774 0.651
0.777 0.726 0.349
0.723 0.226 0.151
0.264 0.780 0.250
0.236 0.280 0.250
0.736 0.220 0.750
0.764 0.720 0.750
0.762 0.968 0.250
0.738 0.468 0.250
0.238 0.032 0.750
0.262 0.532 0.750
0.012 0.875 0.002
0.488 0.375 0.498
0.988 0.125 0.502
0.512 0.625 0.998
0.988 0.125 0.998
0.512 0.625 0.502
0.012 0.875 0.498
0.488 0.375 0.002
0.007 0.624 0.000
0.493 0.124 0.500
0.993 0.376 0.500
0.507 0.876 0.000
0.993 0.376 0.000
0.507 0.876 0.500
0.007 0.624 0.500
0.493 0.124 0.000

=====

Li21Co8O18 | the Materials Project database | PBE+U | optimized geometry; magnetization = 23.00 μB per cell; calculated formation energy = -1.71 eV/atom; total energy after the MP2020 corrections = -5.669 eV per atom
1.0
7.693 0.000 0.000
3.823 6.799 0.000
2.102 1.645 9.361
Li Co O
21 8 18
Direct
0.030 0.162 0.132
0.894 0.615 0.095
0.418 0.920 0.134
0.261 0.335 0.158
0.175 0.869 0.346
0.155 0.714 0.152
0.529 0.623 0.393
0.417 0.077 0.380
0.301 0.467 0.377
0.678 0.186 0.385
0.333 0.821 0.605
0.705 0.539 0.623
0.587 0.931 0.623
0.470 0.379 0.610
0.846 0.124 0.631
0.845 0.315 0.853
0.734 0.678 0.847
0.494 0.115 0.889
0.789 0.054 0.855
0.095 0.385 0.905
0.030 0.786 0.844
0.030 0.668 0.624
0.838 0.753 0.369
0.179 0.236 0.634
0.271 0.965 0.853
0.582 0.476 0.118
0.717 0.037 0.144
0.981 0.311 0.374
0.408 0.531 0.878
0.711 0.905 0.020
0.393 0.680 0.224
0.200 0.115 0.286
0.515 0.259 0.225
0.050 0.533 0.289
0.923 0.958 0.264
0.739 0.347 0.475
0.595 0.795 0.469
0.418 0.206 0.530
0.265 0.662 0.525
0.036 0.053 0.767
0.945 0.471 0.712
0.484 0.734 0.774
0.815 0.881 0.715
0.597 0.312 0.792
0.261 0.106 0.982
0.836 0.436 0.019
0.170 0.562 0.985

=====

CaMo2O4 | the Materials Project database | PBE+U | optimized geometry; magnetization = 12.00 μB per cell; calculated formation energy = -2.17 eV/atom; total energy after the MP2020 corrections = -8.379 eV per atom
1.0
5.794 -3.293 0.000
5.794 3.293 0.000
3.923 0.000 5.388
Ca Mo O
2 4 8
Direct
0.998 0.998 0.998
0.371 0.371 0.371
0.779 0.779 0.779
0.375 0.375 0.878
0.375 0.878 0.375
0.878 0.375 0.375
0.148 0.623 0.623
0.623 0.148 0.623
0.623 0.623 0.148
0.606 0.606 0.606
0.139 0.139 0.139
0.126 0.126 0.583
0.126 0.583 0.126
0.583 0.126 0.126

=====

Repeat the first record exactly.
Ba4Ga2FeS6F4 | the Materials Project database | PBE+U | optimized geometry; magnetization = 0.00 μB per cell; calculated formation energy = -2.29 eV/atom; total energy after the MP2020 corrections = -5.503 eV per atom
1.0
-0.689 -5.729 -2.249
4.808 -4.860 10.907
-17.558 -0.790 7.388
Ba Ga Fe S F
16 8 4 24 16
Direct
0.266 0.751 0.079
0.234 0.251 0.421
0.734 0.249 0.579
0.766 0.749 0.921
0.734 0.249 0.921
0.766 0.749 0.579
0.266 0.751 0.421
0.234 0.251 0.079
0.757 0.998 0.079
0.743 0.498 0.421
0.243 0.002 0.579
0.257 0.502 0.921
0.243 0.002 0.921
0.257 0.502 0.579
0.757 0.998 0.421
0.743 0.498 0.079
0.642 0.796 0.250
0.858 0.296 0.250
0.358 0.204 0.750
0.142 0.704 0.750
0.139 0.951 0.250
0.361 0.451 0.250
0.861 0.049 0.750
0.639 0.549 0.750
0.498 0.124 0.250
0.002 0.624 0.250
0.502 0.876 0.750
0.998 0.376 0.750
0.273 0.022 0.349
0.227 0.522 0.151
0.727 0.978 0.849
0.773 0.478 0.651
0.727 0.978 0.651
0.773 0.478 0.849
0.273 0.022 0.151
0.227 0.522 0.349
0.777 0.726 0.151
0.723 0.226 0.349
0.223 0.274 0.651
0.277 0.774 0.849
0.223 0.274 0.849
0.277 0.774 0.651
0.777 0.726 0.349
0.723 0.226 0.151
0.264 0.780 0.250
0.236 0.280 0.250
0.736 0.220 0.750
0.764 0.720 0.750
0.762 0.968 0.250
0.738 0.468 0.250
0.238 0.032 0.750
0.262 0.532 0.750
0.012 0.875 0.002
0.488 0.375 0.498
0.988 0.125 0.502
0.512 0.625 0.998
0.988 0.125 0.998
0.512 0.625 0.502
0.012 0.875 0.498
0.488 0.375 0.002
0.007 0.624 0.000
0.493 0.124 0.500
0.993 0.376 0.500
0.507 0.876 0.000
0.993 0.376 0.000
0.507 0.876 0.500
0.007 0.624 0.500
0.493 0.124 0.000

=====

Q: Which of these has the highest magnetization?
A: Li21Co8O18

=====

Copy entry 1 word for word.
Ba4Ga2FeS6F4 | the Materials Project database | PBE+U | optimized geometry; magnetization = 0.00 μB per cell; calculated formation energy = -2.29 eV/atom; total energy after the MP2020 corrections = -5.503 eV per atom
1.0
-0.689 -5.729 -2.249
4.808 -4.860 10.907
-17.558 -0.790 7.388
Ba Ga Fe S F
16 8 4 24 16
Direct
0.266 0.751 0.079
0.234 0.251 0.421
0.734 0.249 0.579
0.766 0.749 0.921
0.734 0.249 0.921
0.766 0.749 0.579
0.266 0.751 0.421
0.234 0.251 0.079
0.757 0.998 0.079
0.743 0.498 0.421
0.243 0.002 0.579
0.257 0.502 0.921
0.243 0.002 0.921
0.257 0.502 0.579
0.757 0.998 0.421
0.743 0.498 0.079
0.642 0.796 0.250
0.858 0.296 0.250
0.358 0.204 0.750
0.142 0.704 0.750
0.139 0.951 0.250
0.361 0.451 0.250
0.861 0.049 0.750
0.639 0.549 0.750
0.498 0.124 0.250
0.002 0.624 0.250
0.502 0.876 0.750
0.998 0.376 0.750
0.273 0.022 0.349
0.227 0.522 0.151
0.727 0.978 0.849
0.773 0.478 0.651
0.727 0.978 0.651
0.773 0.478 0.849
0.273 0.022 0.151
0.227 0.522 0.349
0.777 0.726 0.151
0.723 0.226 0.349
0.223 0.274 0.651
0.277 0.774 0.849
0.223 0.274 0.849
0.277 0.774 0.651
0.777 0.726 0.349
0.723 0.226 0.151
0.264 0.780 0.250
0.236 0.280 0.250
0.736 0.220 0.750
0.764 0.720 0.750
0.762 0.968 0.250
0.738 0.468 0.250
0.238 0.032 0.750
0.262 0.532 0.750
0.012 0.875 0.002
0.488 0.375 0.498
0.988 0.125 0.502
0.512 0.625 0.998
0.988 0.125 0.998
0.512 0.625 0.502
0.012 0.875 0.498
0.488 0.375 0.002
0.007 0.624 0.000
0.493 0.124 0.500
0.993 0.376 0.500
0.507 0.876 0.000
0.993 0.376 0.000
0.507 0.876 0.500
0.007 0.624 0.500
0.493 0.124 0.000

=====

Q: What is the formula in the second record?
A: Li21Co8O18